First-principles (PBE with a Hubbard U) data for crystalline Na5ErH6WO10 at its relaxed geometry, as listed in the Materials Project database.

Cell and atoms, written as POSCAR:
```
Na5ErH6WO10
1.0
7.5067 -8.2320 0.0000
7.5067 8.2320 0.0000
-6.9561 0.0000 9.2209
Na Er H W O
20 4 24 4 40
direct
0.0746 0.1834 0.1236
0.0974 0.4013 0.9940
0.1834 0.0746 0.6236
0.1911 0.8089 0.7500
0.1917 0.3104 0.4983
0.2526 0.7474 0.2500
0.3104 0.1917 0.9983
0.3286 0.4189 0.8799
0.4013 0.0974 0.4940
0.4189 0.3286 0.3799
0.5811 0.6714 0.6201
0.5987 0.9026 0.5060
0.6714 0.5811 0.1201
0.6896 0.8083 0.0017
0.7474 0.2526 0.7500
0.8083 0.6896 0.5017
0.8089 0.1911 0.2500
0.8166 0.9254 0.3764
0.9026 0.5987 0.0060
0.9254 0.8166 0.8764
0.0429 0.9571 0.2500
0.4576 0.5424 0.2500
0.5424 0.4576 0.7500
0.9571 0.0429 0.7500
0.0200 0.8219 0.5236
0.0980 0.2654 0.7528
0.1453 0.7931 0.0476
0.1781 0.9800 0.9764
0.2069 0.8547 0.4524
0.2326 0.4265 0.2412
0.2654 0.0980 0.2528
0.3045 0.6403 0.0411
0.3370 0.5507 0.5727
0.3597 0.6955 0.4589
0.4265 0.2326 0.7412
0.4493 0.6630 0.9273
0.5507 0.3370 0.0727
0.5735 0.7674 0.2588
0.6403 0.3045 0.5411
0.6630 0.4493 0.4273
0.6955 0.3597 0.9589
0.7346 0.9020 0.7472
0.7674 0.5735 0.7588
0.7931 0.1453 0.5476
0.8219 0.0200 0.0236
0.8547 0.2069 0.9524
0.9020 0.7346 0.2472
0.9800 0.1781 0.4764
0.0336 0.5380 0.3330
0.4620 0.9664 0.1670
0.5380 0.0336 0.8330
0.9664 0.4620 0.6670
0.0074 0.1067 0.4194
0.0223 0.3644 0.3103
0.0675 0.5522 0.1965
0.0779 0.7975 0.0812
0.1067 0.0074 0.9194
0.1250 0.4210 0.6855
0.1313 0.2175 0.8083
0.1741 0.6668 0.5113
0.2025 0.9221 0.4188
0.2175 0.1313 0.3083
0.2770 0.3723 0.1906
0.2991 0.5764 0.0777
0.3332 0.8259 0.9887
0.3644 0.0223 0.8103
0.3723 0.2770 0.6906
0.3915 0.4873 0.5740
0.4210 0.1250 0.1855
0.4236 0.7009 0.4223
0.4478 0.9325 0.3035
0.4873 0.3915 0.0740
0.5127 0.6085 0.9260
0.5522 0.0675 0.6965
0.5764 0.2991 0.5777
0.5790 0.8750 0.8145
0.6085 0.5127 0.4260
0.6277 0.7230 0.3094
0.6357 0.9777 0.1897
0.6668 0.1741 0.0113
0.7009 0.4236 0.9223
0.7230 0.6277 0.8094
0.7825 0.8687 0.6917
0.7975 0.0779 0.5812
0.8259 0.3332 0.4887
0.8687 0.7825 0.1917
0.8750 0.5790 0.3145
0.8933 0.9926 0.0806
0.9221 0.2025 0.9188
0.9325 0.4478 0.8035
0.9777 0.6357 0.6897
0.9926 0.8933 0.5806
```

Calculated values
E (MP2020) (eV for the cell shown): -559.0
Volume (Å³/atom): 12.387
ρ (g cm⁻³): 3.68

***

First-principles (PBE with a Hubbard U) data for crystalline KErMo2O8 at its relaxed geometry, as listed in the Materials Project database.

Cell and atoms, written as POSCAR:
```
KErMo2O8
1.0
5.1176 0.0000 0.0000
0.0000 18.4284 0.0000
0.0000 0.0000 8.0666
K Er Mo O
4 4 8 32
direct
0.0000 0.2301 0.2500
0.0000 0.7699 0.7500
0.5000 0.2699 0.7500
0.5000 0.7301 0.2500
0.0000 0.0059 0.7500
0.0000 0.9941 0.2500
0.5000 0.4941 0.2500
0.5000 0.5059 0.7500
0.0224 0.3991 0.5161
0.0224 0.6009 0.0161
0.4776 0.1009 0.0161
0.4776 0.8991 0.5161
0.5224 0.1009 0.4839
0.5224 0.8991 0.9839
0.9776 0.3991 0.9839
0.9776 0.6009 0.4839
0.1021 0.3107 0.9744
0.1021 0.6893 0.4744
0.2324 0.4014 0.3374
0.2324 0.5986 0.8374
0.2470 0.0347 0.5048
0.2471 0.4078 0.6904
0.2471 0.5922 0.1904
0.2470 0.9653 0.0048
0.2529 0.0922 0.1904
0.2530 0.4653 0.0048
0.2530 0.5347 0.5048
0.2529 0.9078 0.6904
0.2676 0.0986 0.8374
0.2676 0.9014 0.3374
0.3979 0.1893 0.4744
0.3979 0.8107 0.9744
0.6021 0.1893 0.0256
0.6021 0.8107 0.5256
0.7324 0.0986 0.6626
0.7324 0.9014 0.1626
0.7471 0.0922 0.3096
0.7470 0.4653 0.4952
0.7470 0.5347 0.9952
0.7471 0.9078 0.8096
0.7530 0.0347 0.9952
0.7529 0.4078 0.8096
0.7529 0.5922 0.3096
0.7530 0.9653 0.4952
0.7676 0.4014 0.1626
0.7676 0.5986 0.6626
0.8979 0.3107 0.5256
0.8979 0.6893 0.0256
```

Calculated values
E (MP2020) (eV for the cell shown): -390.2
Volume (Å³/atom): 15.849
ρ (g cm⁻³): 4.59

***

First-principles (PBE with a Hubbard U) data for crystalline KErMo2O8 at its relaxed geometry, as listed in the Materials Project database.

Cell and atoms, written as POSCAR:
```
KErMo2O8
1.0
5.3832 -5.1788 0.0000
5.3832 5.1788 0.0000
-5.0860 0.0000 5.8160
K Er Mo O
2 2 4 16
direct
0.1995 0.8005 0.7500
0.8005 0.1995 0.2500
0.2288 0.7712 0.2500
0.7712 0.2288 0.7500
0.3014 0.3042 0.7611
0.3042 0.3014 0.2611
0.6958 0.6986 0.7389
0.6986 0.6958 0.2389
0.0443 0.2068 0.6917
0.0654 0.3813 0.1206
0.2068 0.0443 0.1917
0.2283 0.3874 0.5591
0.3672 0.5869 0.0319
0.3813 0.0654 0.6206
0.3874 0.2283 0.0591
0.4131 0.6328 0.4681
0.5869 0.3672 0.5319
0.6126 0.7717 0.9409
0.6187 0.9346 0.3794
0.6328 0.4131 0.9681
0.7717 0.6126 0.4409
0.7932 0.9557 0.8083
0.9346 0.6187 0.8794
0.9557 0.7932 0.3083
```

Calculated values
E (MP2020) (eV for the cell shown): -194.8
Volume (Å³/atom): 13.512
ρ (g cm⁻³): 5.39

***

Number 1: ΔH_f (0 K) -1990 meV/atom. Number 2: ΔH_f (0 K) -2551 meV/atom. Number 3: ΔH_f (0 K) -2537 meV/atom.